[1]
SmEuNi4O12: relaxed, PBE with a Hubbard U.

Calculated values
Final energy = -5.20 eV per atom
Space-group type = P4/mmm, No. 123

Cell and atoms, written as POSCAR:
```
SmEuNi4O12
1.0
5.829 0.000 0.000
0.000 5.829 0.000
0.000 0.000 8.334
Sm Eu Ni O
1 1 4 12
Direct
0.000 0.000 0.000
0.500 0.500 0.500
0.000 0.500 0.252
0.000 0.500 0.748
0.500 0.000 0.252
0.500 0.000 0.748
0.000 0.500 0.000
0.000 0.500 0.500
0.247 0.247 0.246
0.247 0.247 0.754
0.247 0.753 0.246
0.247 0.753 0.754
0.500 0.000 0.000
0.500 0.000 0.500
0.753 0.247 0.246
0.753 0.247 0.754
0.753 0.753 0.246
0.753 0.753 0.754
```


[2]
Li9Mn2Co5O16: relaxed, PBE with a Hubbard U.

Calculated values
Space-group type = P1, No. 1
Relative energy among the computed polymorphs = 24 kJ/mol of formula units

Cell and atoms, written as POSCAR:
```
Li9Mn2Co5O16
1.0
4.976 0.000 0.000
-0.037 5.879 0.000
-1.818 -2.862 9.662
Li Mn Co O
9 2 5 16
Direct
0.000 0.000 0.000
0.000 0.007 0.505
0.002 0.513 0.000
0.508 0.251 0.001
0.509 0.750 0.508
0.511 0.267 0.505
0.514 0.758 0.999
0.756 0.636 0.753
0.998 0.510 0.506
0.256 0.392 0.753
0.755 0.126 0.753
0.251 0.882 0.250
0.255 0.880 0.753
0.260 0.383 0.256
0.755 0.132 0.253
0.755 0.632 0.253
0.113 0.188 0.367
0.116 0.692 0.370
0.125 0.185 0.862
0.155 0.685 0.864
0.356 0.577 0.642
0.387 0.079 0.644
0.395 0.572 0.137
0.397 0.076 0.139
0.613 0.451 0.376
0.620 0.420 0.864
0.622 0.949 0.364
0.623 0.952 0.864
0.887 0.843 0.642
0.888 0.315 0.142
0.892 0.311 0.642
0.898 0.813 0.130
```


[3]
Li3Mn4B4O12: relaxed, PBE with a Hubbard U.

Calculated values
Space-group type = P1, No. 1
Relative energy among the computed polymorphs = 19 kJ/mol of formula units

Cell and atoms, written as POSCAR:
```
Li3Mn4B4O12
1.0
7.854 0.000 0.000
1.403 8.169 0.000
3.722 3.029 7.845
Li Mn B O
6 8 8 24
Direct
0.000 0.000 0.000
0.005 0.341 0.209
0.251 0.755 0.498
0.275 0.097 0.696
0.521 0.850 0.201
0.751 0.594 0.710
0.057 0.380 0.846
0.219 0.710 0.855
0.312 0.136 0.343
0.473 0.467 0.333
0.566 0.873 0.860
0.703 0.229 0.835
0.816 0.621 0.354
0.949 0.974 0.357
0.064 0.379 0.511
0.221 0.743 0.178
0.298 0.119 0.017
0.463 0.495 0.665
0.556 0.872 0.519
0.716 0.227 0.170
0.811 0.624 0.015
0.966 0.966 0.689
0.008 0.424 0.377
0.036 0.806 0.204
0.048 0.937 0.803
0.066 0.947 0.533
0.198 0.150 0.168
0.228 0.158 0.894
0.238 0.294 0.499
0.282 0.567 0.695
0.294 0.698 0.299
0.330 0.740 0.014
0.462 0.904 0.670
0.475 0.036 0.998
0.480 0.910 0.399
0.537 0.446 0.785
0.541 0.307 0.194
0.564 0.489 0.502
0.705 0.658 0.163
0.730 0.785 0.499
0.750 0.673 0.882
0.780 0.031 0.724
0.793 0.191 0.288
0.814 0.192 0.019
0.952 0.410 0.659
0.981 0.535 0.003
```


[4]
SrCa7Mn6Fe2O24: relaxed, PBE with a Hubbard U.

Calculated values
Final energy = -6.75 eV per atom
Space-group type = Amm2, No. 38

Cell and atoms, written as POSCAR:
```
SrCa7Mn6Fe2O24
1.0
7.631 0.000 0.000
0.000 5.429 5.428
0.000 -5.429 5.428
Sr Ca Mn Fe O
1 7 6 2 24
Direct
0.000 0.000 0.000
0.000 0.000 0.500
0.000 0.500 0.000
0.000 0.500 0.500
0.500 0.000 0.000
0.500 0.000 0.500
0.500 0.500 0.000
0.500 0.500 0.500
0.251 0.251 0.750
0.251 0.750 0.251
0.251 0.750 0.750
0.749 0.251 0.750
0.749 0.750 0.251
0.749 0.750 0.750
0.251 0.251 0.251
0.749 0.251 0.251
0.000 0.252 0.252
0.000 0.253 0.748
0.000 0.747 0.747
0.000 0.748 0.253
0.250 0.251 0.504
0.250 0.501 0.750
0.250 0.504 0.251
0.250 0.750 0.501
0.252 0.253 0.996
0.252 0.996 0.253
0.253 0.747 0.999
0.253 0.999 0.747
0.500 0.250 0.750
0.500 0.251 0.251
0.500 0.750 0.250
0.500 0.750 0.750
0.747 0.747 0.999
0.747 0.999 0.747
0.748 0.253 0.996
0.748 0.996 0.253
0.750 0.251 0.504
0.750 0.501 0.750
0.750 0.504 0.251
0.750 0.750 0.501
```


[5]
Cr2P4O13: relaxed, PBE with a Hubbard U.

Calculated values
Final energy = -7.46 eV per atom
Space-group type = P2_1/c, No. 14

Cell and atoms, written as POSCAR:
```
Cr2P4O13
1.0
8.259 0.000 0.000
0.000 8.952 0.000
-3.628 0.000 12.820
Cr P O
8 16 52
Direct
0.041 0.003 0.223
0.041 0.497 0.723
0.439 0.504 0.739
0.439 0.996 0.239
0.561 0.004 0.761
0.561 0.496 0.261
0.959 0.503 0.277
0.959 0.997 0.777
0.136 0.243 0.431
0.136 0.257 0.931
0.215 0.200 0.661
0.215 0.300 0.161
0.287 0.723 0.342
0.287 0.777 0.842
0.498 0.748 0.567
0.498 0.752 0.067
0.502 0.248 0.933
0.502 0.252 0.433
0.713 0.223 0.158
0.713 0.277 0.658
0.785 0.700 0.839
0.785 0.800 0.339
0.864 0.743 0.069
0.864 0.757 0.569
0.020 0.123 0.906
0.020 0.377 0.406
0.105 0.113 0.358
0.105 0.387 0.858
0.113 0.123 0.723
0.113 0.377 0.223
0.120 0.176 0.539
0.120 0.324 0.039
0.125 0.652 0.351
0.125 0.848 0.851
0.223 0.125 0.177
0.223 0.375 0.677
0.252 0.631 0.775
0.252 0.869 0.275
0.327 0.196 0.956
0.327 0.304 0.456
0.382 0.710 0.955
0.382 0.790 0.455
0.391 0.141 0.679
0.391 0.359 0.179
0.399 0.619 0.304
0.399 0.881 0.804
0.418 0.618 0.607
0.418 0.882 0.107
0.469 0.110 0.372
0.469 0.390 0.872
0.531 0.610 0.128
0.531 0.890 0.628
0.582 0.118 0.893
0.582 0.382 0.393
0.601 0.119 0.196
0.601 0.381 0.696
0.609 0.641 0.821
0.609 0.859 0.321
0.618 0.210 0.545
0.618 0.290 0.045
0.673 0.696 0.544
0.673 0.804 0.044
0.748 0.131 0.725
0.748 0.369 0.225
0.777 0.625 0.323
0.777 0.875 0.823
0.875 0.152 0.149
0.875 0.348 0.649
0.880 0.676 0.961
0.880 0.824 0.461
0.887 0.623 0.777
0.887 0.877 0.277
0.895 0.613 0.142
0.895 0.887 0.642
0.980 0.623 0.594
0.980 0.877 0.094
```


no.,magnetization (μB/cell)
1,17.86
2,6.00
3,38.00
4,27.93
5,24.00